No. 1
An optimized crystal structure of CeAl2Cu3, computed with PBE.

a b c (Å): 5.3139 5.3139 4.0309
angles (deg): 90.00 90.00 120.00
Last column: nearest neighbours and their distance in Å.
Sites, in units of the cell vectors:
Ce: 0.0000 0.0000 0.0000  6 Al 3.07, 12 Cu 3.33
Al: 0.3333 0.6667 0.0000  6 Cu 2.53
Al: 0.6667 0.3333 0.0000  6 Cu 2.53
Cu: 0.0000 0.5000 0.5000  4 Al 2.53, 4 Cu 2.66
Cu: 0.5000 0.0000 0.5000  4 Al 2.53, 4 Cu 2.66
Cu: 0.5000 0.5000 0.5000  4 Al 2.53, 4 Cu 2.66

## Properties
Calculated volume, A^3/atom: 16.4
SG: P6/mmm (191)
Formation energy from the elements, eV per atom: -0.264
Calculated total energy, eV per atom: -4.5514

No. 2
An optimized crystal structure of CeAlCu4, computed with PBE.

a b c (Å): 5.1239 5.1239 4.1826
angles (deg): 90.00 90.00 118.90
Last column: nearest neighbours and their distance in Å.
Sites, in units of the cell vectors:
Ce: 0.0000 0.0000 0.0000  6 Cu 2.93-2.99
Al: 0.5000 0.5000 0.5000  8 Cu 2.56
Cu: 0.0000 0.5000 0.5000  2 Al 2.56, 6 Cu 2.57-2.60
Cu: 0.3324 0.6676 0.0000  2 Al 2.56, 4 Cu 2.57
Cu: 0.5000 0.0000 0.5000  2 Al 2.56, 6 Cu 2.57-2.60
Cu: 0.6676 0.3324 0.0000  2 Al 2.56, 4 Cu 2.57

## Properties
Calculated volume, A^3/atom: 16.0
SG: Cmmm (65)
Formation energy from the elements, eV per atom: -0.249
Calculated total energy, eV per atom: -4.5945

No. 3
An optimized crystal structure of Ce3MnAl24Cu8, computed with PBE.

a b c (Å): 8.4482 8.4482 8.4482
angles (deg): 90.00 90.00 90.00
Last column: nearest neighbours and their distance in Å.
Sites, in units of the cell vectors:
Ce: 0.0000 0.0000 0.5000  12 Al 3.16-3.24, 8 Cu 3.45
Ce: 0.0000 0.5000 0.0000  12 Al 3.16-3.24, 8 Cu 3.45
Ce: 0.5000 0.0000 0.0000  12 Al 3.16-3.24, 8 Cu 3.45
Mn: 0.5000 0.5000 0.5000  12 Al 2.73
Al: 0.0000 0.3363 0.3363  2 Cu 2.53, 6 Al 2.73-2.77
Al: 0.0000 0.3363 0.6637  2 Cu 2.53, 6 Al 2.73-2.77
Al: 0.0000 0.6637 0.3363  2 Cu 2.53, 6 Al 2.73-2.77
Al: 0.0000 0.6637 0.6637  2 Cu 2.53, 6 Al 2.73-2.77
Al: 0.2711 0.2711 0.5000  8 Al 2.73, 1 Mn 2.73
Al: 0.2711 0.5000 0.2711  8 Al 2.73, 1 Mn 2.73
Al: 0.2711 0.5000 0.7289  8 Al 2.73, 1 Mn 2.73
Al: 0.2711 0.7289 0.5000  8 Al 2.73, 1 Mn 2.73
Al: 0.3363 0.0000 0.3363  2 Cu 2.53, 6 Al 2.73-2.77
Al: 0.3363 0.0000 0.6637  2 Cu 2.53, 6 Al 2.73-2.77
Al: 0.3363 0.3363 0.0000  2 Cu 2.53, 6 Al 2.73-2.77
Al: 0.3363 0.6637 0.0000  2 Cu 2.53, 6 Al 2.73-2.77
Al: 0.5000 0.2711 0.2711  8 Al 2.73, 1 Mn 2.73
Al: 0.5000 0.2711 0.7289  8 Al 2.73, 1 Mn 2.73
Al: 0.5000 0.7289 0.2711  8 Al 2.73, 1 Mn 2.73
Al: 0.5000 0.7289 0.7289  8 Al 2.73, 1 Mn 2.73
Al: 0.6637 0.0000 0.3363  2 Cu 2.53, 6 Al 2.73-2.77
Al: 0.6637 0.0000 0.6637  2 Cu 2.53, 6 Al 2.73-2.77
Al: 0.6637 0.3363 0.0000  2 Cu 2.53, 6 Al 2.73-2.77
Al: 0.6637 0.6637 0.0000  2 Cu 2.53, 6 Al 2.73-2.77
Al: 0.7289 0.2711 0.5000  8 Al 2.73, 1 Mn 2.73
Al: 0.7289 0.5000 0.2711  8 Al 2.73, 1 Mn 2.73
Al: 0.7289 0.5000 0.7289  8 Al 2.73, 1 Mn 2.73
Al: 0.7289 0.7289 0.5000  8 Al 2.73, 1 Mn 2.73
Cu: 0.1546 0.1546 0.1546  3 Al 2.53, 3 Cu 2.61
Cu: 0.1546 0.1546 0.8454  3 Al 2.53, 3 Cu 2.61
Cu: 0.1546 0.8454 0.1546  3 Al 2.53, 3 Cu 2.61
Cu: 0.1546 0.8454 0.8454  3 Al 2.53, 3 Cu 2.61
Cu: 0.8454 0.1546 0.1546  3 Al 2.53, 3 Cu 2.61
Cu: 0.8454 0.1546 0.8454  3 Al 2.53, 3 Cu 2.61
Cu: 0.8454 0.8454 0.1546  3 Al 2.53, 3 Cu 2.61
Cu: 0.8454 0.8454 0.8454  3 Al 2.53, 3 Cu 2.61

## Properties
Calculated volume, A^3/atom: 16.7
SG: Pm-3m (221)
Formation energy from the elements, eV per atom: -0.178
Calculated total energy, eV per atom: -4.3345

No. 4
An optimized crystal structure of CeEuAl4, computed with PBE.

a b c (Å): 5.6441 5.6441 5.6441
angles (deg): 60.00 60.00 60.00
Last column: nearest neighbours and their distance in Å.
Sites, in units of the cell vectors:
Ce: 0.0000 0.0000 0.0000  12 Al 3.31, 4 Eu 3.46
Eu: 0.2500 0.2500 0.2500  12 Al 3.31, 4 Ce 3.46
Al: 0.1243 0.6252 0.6252  6 Al 2.82-2.83
Al: 0.6252 0.1243 0.6252  6 Al 2.82-2.83
Al: 0.6252 0.6252 0.1243  6 Al 2.82-2.83
Al: 0.6252 0.6252 0.6252  6 Al 2.82-2.83

## Properties
Calculated volume, A^3/atom: 21.2
SG: F-43m (216)
Formation energy from the elements, eV per atom: -0.429
Calculated total energy, eV per atom: -5.6247

No. 5
An optimized crystal structure of CeAl8Fe2, computed with PBE.

a b c (Å): 12.4343 14.3866 4.0070
angles (deg): 90.00 90.00 90.00
Last column: nearest neighbours and their distance in Å.
Sites, in units of the cell vectors:
Ce: 0.1591 0.1809 0.0000  13 Al 3.13-3.33
Ce: 0.3409 0.6809 0.0000  13 Al 3.13-3.33
Ce: 0.6591 0.3191 0.0000  13 Al 3.13-3.33
Ce: 0.8409 0.8191 0.0000  13 Al 3.13-3.33
Al: 0.0000 0.0000 0.0000  2 Fe 2.34
Al: 0.0000 0.5000 0.5000  4 Fe 2.45, 4 Al 2.64-2.66
Al: 0.0255 0.8684 0.5000  2 Fe 2.58, 7 Al 2.68-2.86
Al: 0.0474 0.3198 0.5000  2 Fe 2.57, 6 Al 2.66-2.86
Al: 0.0949 0.7469 0.0000  2 Fe 2.33-2.34
Al: 0.1600 0.6211 0.5000  2 Fe 2.57, 5 Al 2.64-2.82
Al: 0.1613 0.4537 0.0000  3 Fe 2.46-2.55
Al: 0.1683 0.0075 0.5000  2 Fe 2.52, 3 Al 2.68-2.74
Al: 0.2353 0.8261 0.5000  2 Fe 2.52, 3 Al 2.68-2.74
Al: 0.2647 0.3261 0.5000  2 Fe 2.52, 3 Al 2.68-2.74
Al: 0.3317 0.5075 0.5000  2 Fe 2.52, 3 Al 2.68-2.74
Al: 0.3387 0.9537 0.0000  3 Fe 2.46-2.55
Al: 0.3400 0.1211 0.5000  2 Fe 2.57, 5 Al 2.64-2.82
Al: 0.4051 0.2469 0.0000  2 Fe 2.33-2.34
Al: 0.4526 0.8198 0.5000  2 Fe 2.57, 6 Al 2.66-2.86
Al: 0.4745 0.3684 0.5000  2 Fe 2.58, 7 Al 2.68-2.86
Al: 0.5000 0.0000 0.5000  4 Fe 2.45, 4 Al 2.64-2.66
Al: 0.5000 0.5000 0.0000  2 Fe 2.34
Al: 0.5255 0.6316 0.5000  2 Fe 2.58, 7 Al 2.68-2.86
Al: 0.5474 0.1802 0.5000  2 Fe 2.57, 6 Al 2.66-2.86
Al: 0.5949 0.7531 0.0000  2 Fe 2.33-2.34
Al: 0.6600 0.8789 0.5000  2 Fe 2.57, 5 Al 2.64-2.82
Al: 0.6613 0.0463 0.0000  3 Fe 2.46-2.55
Al: 0.6683 0.4925 0.5000  2 Fe 2.52, 3 Al 2.68-2.74
Al: 0.7353 0.6739 0.5000  2 Fe 2.52, 3 Al 2.68-2.74
Al: 0.7647 0.1739 0.5000  2 Fe 2.52, 3 Al 2.68-2.74
Al: 0.8317 0.9925 0.5000  2 Fe 2.52, 3 Al 2.68-2.74
Al: 0.8387 0.5463 0.0000  3 Fe 2.46-2.55
Al: 0.8400 0.3789 0.5000  2 Fe 2.57, 5 Al 2.64-2.82
Al: 0.9051 0.2531 0.0000  2 Fe 2.33-2.34
Al: 0.9526 0.6802 0.5000  2 Fe 2.57, 6 Al 2.66-2.86
Al: 0.9745 0.1316 0.5000  2 Fe 2.58, 7 Al 2.68-2.86
Fe: 0.0349 0.5934 0.0000  9 Al 2.33-2.57
Fe: 0.1504 0.9022 0.0000  9 Al 2.34-2.58
Fe: 0.3496 0.4022 0.0000  9 Al 2.34-2.58
Fe: 0.4651 0.0934 0.0000  9 Al 2.33-2.57
Fe: 0.5349 0.9066 0.0000  9 Al 2.33-2.57
Fe: 0.6504 0.5978 0.0000  9 Al 2.34-2.58
Fe: 0.8496 0.0978 0.0000  9 Al 2.34-2.58
Fe: 0.9651 0.4066 0.0000  9 Al 2.33-2.57

## Properties
Calculated volume, A^3/atom: 16.3
SG: Pbam (55)
Formation energy from the elements, eV per atom: -0.419
Calculated total energy, eV per atom: -5.2223

No. 6
An optimized crystal structure of Ce6Al3Fe11, computed with PBE.

a b c (Å): 12.4118 12.4118 12.4118
angles (deg): 141.74 141.74 55.22
Last column: nearest neighbours and their distance in Å.
Sites, in units of the cell vectors:
Ce: 0.0000 0.0000 0.0000  12 Fe 2.94-3.27, 1 Al 3.16
Ce: 0.0834 0.2516 0.5000  3 Fe 2.77-3.03
Ce: 0.1270 0.9758 0.5000  1 Fe 2.93, 1 Ce 3.15, 5 Al 3.18-3.24
Ce: 0.2131 0.2131 0.0000  8 Fe 2.98-3.16, 5 Al 3.15-3.25
Ce: 0.2516 0.7516 0.1682  3 Fe 2.77-3.03
Ce: 0.4758 0.6270 0.5000  1 Fe 2.93, 1 Ce 3.15, 5 Al 3.18-3.24
Ce: 0.5000 0.5000 0.0000  12 Fe 2.94-3.27, 1 Al 3.16
Ce: 0.5834 0.0834 0.8318  3 Fe 2.77-3.03
Ce: 0.6270 0.1270 0.1511  1 Fe 2.93, 1 Ce 3.15, 5 Al 3.18-3.24
Ce: 0.7131 0.7131 0.0000  8 Fe 2.98-3.16, 5 Al 3.15-3.25
Ce: 0.7516 0.5834 0.5000  3 Fe 2.77-3.03
Ce: 0.9758 0.4758 0.8489  1 Fe 2.93, 1 Ce 3.15, 5 Al 3.18-3.24
Al: 0.0858 0.5858 0.2616  6 Fe 2.49-2.62, 1 Al 2.74
Al: 0.3242 0.8242 0.7384  6 Fe 2.49-2.62, 1 Al 2.74
Al: 0.3564 0.3564 0.0000  10 Ce 3.15-3.32
Al: 0.5858 0.3242 0.5000  6 Fe 2.49-2.62, 1 Al 2.74
Al: 0.8242 0.0858 0.5000  6 Fe 2.49-2.62, 1 Al 2.74
Al: 0.8564 0.8564 0.0000  10 Ce 3.15-3.32
Fe: 0.0371 0.3175 0.1438  9 Fe 2.41-2.62, 1 Al 2.62
Fe: 0.1057 0.6057 0.5000  10 Fe 2.41-2.55, 2 Al 2.58
Fe: 0.1209 0.6209 0.7293  7 Fe 2.52-2.64
Fe: 0.1737 0.8933 0.8562  9 Fe 2.41-2.62, 1 Al 2.62
Fe: 0.2217 0.3652 0.5000  9 Fe 2.47-2.75
Fe: 0.3175 0.1737 0.2804  9 Fe 2.41-2.62, 1 Al 2.62
Fe: 0.3441 0.4926 0.5000  5 Fe 2.45-2.59, 3 Al 2.49-2.57
Fe: 0.3652 0.8652 0.1435  9 Fe 2.47-2.75
Fe: 0.3916 0.1209 0.5000  7 Fe 2.52-2.64
Fe: 0.3933 0.6737 0.8562  9 Fe 2.41-2.62, 1 Al 2.62
Fe: 0.4926 0.9926 0.1485  5 Fe 2.45-2.59, 3 Al 2.49-2.57
Fe: 0.5371 0.3933 0.7196  9 Fe 2.41-2.62, 1 Al 2.62
Fe: 0.6057 0.1057 0.5000  10 Fe 2.41-2.55, 2 Al 2.58
Fe: 0.6209 0.8916 0.5000  7 Fe 2.52-2.64
Fe: 0.6737 0.8175 0.2804  9 Fe 2.41-2.62, 1 Al 2.62
Fe: 0.7217 0.2217 0.8565  9 Fe 2.47-2.75
Fe: 0.8175 0.5371 0.1438  9 Fe 2.41-2.62, 1 Al 2.62
Fe: 0.8441 0.3441 0.8515  5 Fe 2.45-2.59, 3 Al 2.49-2.57
Fe: 0.8652 0.7217 0.5000  9 Fe 2.47-2.75
Fe: 0.8916 0.3916 0.2707  7 Fe 2.52-2.64
Fe: 0.8933 0.0371 0.7196  9 Fe 2.41-2.62, 1 Al 2.62
Fe: 0.9926 0.8441 0.5000  5 Fe 2.45-2.59, 3 Al 2.49-2.57

## Properties
Calculated volume, A^3/atom: 18.2
SG: I4cm (108)
Formation energy from the elements, eV per atom: -0.115
Calculated total energy, eV per atom: -7.1150

No. 7
An optimized crystal structure of CeAl10Fe2, computed with PBE.

a b c (Å): 6.7721 6.7721 8.9549
angles (deg): 90.00 90.00 97.72
Last column: nearest neighbours and their distance in Å.
Sites, in units of the cell vectors:
Ce: 0.1234 0.8766 0.7500  14 Al 3.12-3.27, 4 Fe 3.41
Ce: 0.8766 0.1234 0.2500  14 Al 3.12-3.27, 4 Fe 3.41
Al: 0.1330 0.4116 0.7500  2 Fe 2.52, 8 Al 2.61-2.82
Al: 0.1610 0.8390 0.0985  2 Fe 2.56, 6 Al 2.57-2.79
Al: 0.1610 0.8390 0.4015  2 Fe 2.56, 6 Al 2.57-2.79
Al: 0.2218 0.4783 0.2500  7 Al 2.61-2.87, 2 Fe 2.71
Al: 0.2276 0.2276 0.0000  2 Fe 2.56, 8 Al 2.68-2.81
Al: 0.2276 0.2276 0.5000  2 Fe 2.56, 8 Al 2.68-2.81
Al: 0.3758 0.6242 0.5519  6 Al 2.57-2.78, 2 Fe 2.61
Al: 0.3758 0.6242 0.9481  6 Al 2.57-2.78, 2 Fe 2.61
Al: 0.4116 0.1330 0.2500  2 Fe 2.52, 8 Al 2.61-2.82
Al: 0.4783 0.2218 0.7500  7 Al 2.61-2.87, 2 Fe 2.71
Al: 0.5217 0.7782 0.2500  7 Al 2.61-2.87, 2 Fe 2.71
Al: 0.5884 0.8670 0.7500  2 Fe 2.52, 8 Al 2.61-2.82
Al: 0.6242 0.3758 0.0519  6 Al 2.57-2.78, 2 Fe 2.61
Al: 0.6242 0.3758 0.4481  6 Al 2.57-2.78, 2 Fe 2.61
Al: 0.7724 0.7724 0.0000  2 Fe 2.56, 8 Al 2.68-2.81
Al: 0.7724 0.7724 0.5000  2 Fe 2.56, 8 Al 2.68-2.81
Al: 0.7782 0.5217 0.7500  7 Al 2.61-2.87, 2 Fe 2.71
Al: 0.8390 0.1610 0.5985  2 Fe 2.56, 6 Al 2.57-2.79
Al: 0.8390 0.1610 0.9015  2 Fe 2.56, 6 Al 2.57-2.79
Al: 0.8670 0.5884 0.2500  2 Fe 2.52, 8 Al 2.61-2.82
Fe: 0.0000 0.5000 0.0000  10 Al 2.52-2.71
Fe: 0.0000 0.5000 0.5000  10 Al 2.52-2.71
Fe: 0.5000 0.0000 0.0000  10 Al 2.52-2.71
Fe: 0.5000 0.0000 0.5000  10 Al 2.52-2.71

## Properties
Calculated volume, A^3/atom: 15.7
SG: Cmcm (63)
Formation energy from the elements, eV per atom: -0.357
Calculated total energy, eV per atom: -4.9978